(1)
A relaxed structure of VPO5. Source: the Materials Project, functional PBE with a Hubbard U.

Values from the calculation:
**E above lowest polymorph**: 13 meV/atom
**Energy relative to the elements**: -17.4 eV per formula unit
**Final energy**: -51.51 eV/f.u.
**Total energy after the MP2020 corrections**: -226.57 eV for the cell shown

Lattice parameters (Å, degrees): 5.1138 10.6780 7.4745 65.66 69.97 76.17
Element x y z (fractional)
1 V 0.0026 0.5275 0.0087
2 V 0.0138 0.7593 0.2772
3 V 0.4509 0.2592 0.7773
4 V 0.9622 0.0276 0.5083
5 P 0.6156 0.0479 0.1900
6 P 0.3786 0.4494 0.3094
7 P 0.3629 0.9495 0.8091
8 P 0.6484 0.5478 0.6903
9 O 0.2986 0.0590 0.2922
10 O 0.2049 0.4176 0.2012
11 O 0.0768 0.8193 0.4209
12 O 0.2892 0.8409 0.0254
13 O 0.2774 0.5959 0.3165
14 O 0.3111 0.0958 0.8163
15 O 0.3456 0.3410 0.5256
16 O 0.1843 0.3190 0.9215
17 O 0.7695 0.0857 0.3015
18 O 0.1860 0.9353 0.6887
19 O 0.6896 0.4355 0.1877
20 O 0.3457 0.5853 0.8032
21 O 0.8609 0.1671 0.5580
22 O 0.6645 0.1489 0.9656
23 O 0.6810 0.3998 0.6860
24 O 0.7345 0.8998 0.1860
25 O 0.7216 0.6491 0.4660
26 O 0.9146 0.6670 0.0583
27 O 0.6762 0.9179 0.6996
28 O 0.8536 0.5589 0.7914

(2)
A relaxed structure of CoGeO6F6. Source: the Materials Project, functional PBE with a Hubbard U.

Values from the calculation:
**Energy relative to the elements**: -11.7 eV per formula unit
**Final energy**: -56.11 eV/f.u.
**Total energy after the MP2020 corrections**: -129.28 eV for the cell shown

Lattice parameters (Å, degrees): 8.7162 6.0231 7.6898 75.08 90.00 90.00
Element x y z (fractional)
1 Co 0.5000 0.5000 0.0000
2 Co 0.0000 0.5000 0.5000
3 Ge 0.5000 0.0000 0.5000
4 Ge 0.0000 0.0000 0.0000
5 O 0.5264 0.4407 0.7848
6 O 0.0264 0.5593 0.7152
7 O 0.4736 0.5593 0.2152
8 O 0.9736 0.4407 0.2848
9 O 0.6620 0.3298 0.0942
10 O 0.1620 0.6702 0.4058
11 O 0.3380 0.6702 0.9058
12 O 0.8380 0.3298 0.5942
13 O 0.6133 0.7583 0.9660
14 O 0.1133 0.2417 0.5340
15 O 0.3867 0.2417 0.0340
16 O 0.8867 0.7583 0.4660
17 F 0.3330 0.8323 0.6080
18 F 0.8330 0.1677 0.8920
19 F 0.6670 0.1677 0.3920
20 F 0.1670 0.8323 0.1080
21 F 0.6124 0.7341 0.5418
22 F 0.1124 0.2659 0.9582
23 F 0.3876 0.2659 0.4582
24 F 0.8876 0.7341 0.0418
25 F 0.5587 0.0404 0.7173
26 F 0.0587 0.9596 0.7827
27 F 0.4413 0.9596 0.2827
28 F 0.9413 0.0404 0.2173

(3)
A relaxed structure of Ba2ErCuNi2O7. Source: the Materials Project, functional PBE with a Hubbard U.

Values from the calculation:
**Energy relative to the elements**: -28.8 eV per formula unit
**Final energy**: -77.62 eV/f.u.
**Total energy after the MP2020 corrections**: -87.51 eV for the cell shown

Lattice parameters (Å, degrees): 3.8906 3.9566 11.5073 90.00 90.00 90.00
Element x y z (fractional)
1 Ba 0.5000 0.5000 0.1822
2 Ba 0.5000 0.5000 0.8178
3 Er 0.5000 0.5000 0.5000
4 Cu 0.0000 0.0000 0.0000
5 Ni 0.0000 0.0000 0.3441
6 Ni 0.0000 0.0000 0.6559
7 O 0.5000 0.0000 0.3787
8 O 0.5000 0.0000 0.6213
9 O 0.0000 0.5000 0.3785
10 O 0.0000 0.5000 0.6215
11 O 0.0000 0.0000 0.1636
12 O 0.0000 0.0000 0.8364
13 O 0.0000 0.5000 0.0000

(4)
A relaxed structure of Co3C10O9. Source: the Materials Project, functional PBE with a Hubbard U.

Values from the calculation:
**Energy relative to the elements**: -14.4 eV per formula unit
**Final energy**: -161.46 eV/f.u.
**Total energy after the MP2020 corrections**: -1035.34 eV for the cell shown

Lattice parameters (Å, degrees): 9.7031 9.7031 25.7598 90.00 90.00 120.00
Element x y z (fractional)
1 Co 0.0113 0.8635 0.4004
2 Co 0.7151 0.6372 0.9153
3 Co 0.2849 0.9221 0.4180
4 Co 0.3628 0.0779 0.2487
5 Co 0.5959 0.8809 0.0210
6 Co 0.7150 0.1191 0.6457
7 Co 0.8809 0.5959 0.9790
8 Co 0.8522 0.9887 0.0671
9 Co 0.8635 0.0113 0.5996
10 Co 0.1191 0.7150 0.3543
11 Co 0.4041 0.2850 0.3124
12 Co 0.2850 0.4041 0.6876
13 Co 0.1365 0.1478 0.7337
14 Co 0.6372 0.7151 0.0847
15 Co 0.1478 0.1365 0.2663
16 Co 0.9221 0.2849 0.5820
17 Co 0.9887 0.8522 0.9329
18 Co 0.0779 0.3628 0.7513
19 C 0.8145 0.0889 0.1191
20 C 0.0582 0.2511 0.6868
21 C 0.5584 0.7587 0.1417
22 C 0.2413 0.7997 0.4751
23 C 0.1855 0.2744 0.2143
24 C 0.8071 0.7489 0.9799
25 C 0.2744 0.1855 0.7857
26 C 0.0255 0.0362 0.4276
27 C 0.7587 0.5584 0.8583
28 C 0.2701 0.7013 0.3211
29 C 0.1513 0.9629 0.9746
30 C 0.7013 0.2701 0.6789
31 C 0.6530 0.0262 0.9721
32 C 0.1883 0.0371 0.6921
33 C 0.8487 0.8117 0.3588
34 C 0.6416 0.7525 0.8861
35 C 0.4999 0.4474 0.2671
36 C 0.9476 0.5001 0.9338
37 C 0.6268 0.9738 0.6946
38 C 0.9638 0.9894 0.7609
39 C 0.9745 0.0106 0.9057
40 C 0.7525 0.6416 0.1139
41 C 0.9392 0.4689 0.5991
42 C 0.5311 0.4703 0.9324
43 C 0.7997 0.2413 0.5249
44 C 0.0608 0.5297 0.7342
45 C 0.3584 0.1109 0.4472
46 C 0.3732 0.3470 0.6388
47 C 0.0524 0.5526 0.3995
48 C 0.7256 0.9111 0.5476
49 C 0.8891 0.2475 0.7805
50 C 0.0262 0.6530 0.0279
51 C 0.1109 0.3584 0.5528
52 C 0.9894 0.9638 0.2391
53 C 0.0371 0.1883 0.3079
54 C 0.5526 0.0524 0.6005
55 C 0.5297 0.0608 0.2658
56 C 0.2511 0.0582 0.3132
57 C 0.4474 0.4999 0.7329
58 C 0.4703 0.5311 0.0676
59 C 0.2475 0.8891 0.2195
60 C 0.9111 0.7256 0.4524
61 C 0.2003 0.4416 0.8084
62 C 0.7299 0.4312 0.0122
63 C 0.5001 0.9476 0.0662
64 C 0.0106 0.9745 0.0943
65 C 0.9738 0.6268 0.3054
66 C 0.4416 0.2003 0.1916
67 C 0.7489 0.8071 0.0201
68 C 0.8117 0.8487 0.6412
69 C 0.5688 0.2987 0.3455
70 C 0.9629 0.1513 0.0254
71 C 0.1929 0.9418 0.3535
72 C 0.2987 0.5688 0.6545
73 C 0.3470 0.3732 0.3612
74 C 0.9418 0.1929 0.6465
75 C 0.4312 0.7299 0.9878
76 C 0.4689 0.9392 0.4009
77 C 0.0362 0.0255 0.5724
78 C 0.0889 0.8145 0.8809
79 O 0.0288 0.1455 0.4470
80 O 0.7663 0.1758 0.8004
81 O 0.7222 0.2139 0.4880
82 O 0.4917 0.2778 0.1547
83 O 0.7747 0.7371 0.6666
84 O 0.0123 0.4495 0.4290
85 O 0.6385 0.8430 0.5139
86 O 0.4495 0.0123 0.5710
87 O 0.5905 0.8242 0.8663
88 O 0.9488 0.5903 0.6080
89 O 0.8242 0.5905 0.1337
90 O 0.7955 0.1570 0.1527
91 O 0.2045 0.3615 0.1806
92 O 0.9712 0.1166 0.8864
93 O 0.2337 0.4095 0.5329
94 O 0.6345 0.3207 0.0346
95 O 0.2139 0.7222 0.5120
96 O 0.9877 0.4371 0.9043
97 O 0.1166 0.9712 0.1136
98 O 0.3207 0.6345 0.9654
99 O 0.7861 0.5083 0.8214
100 O 0.0376 0.2629 0.0001
101 O 0.1570 0.7955 0.8473
102 O 0.4398 0.3183 0.6070
103 O 0.0512 0.6416 0.7253
104 O 0.4371 0.9877 0.0957
105 O 0.1758 0.7663 0.1996
106 O 0.5602 0.8785 0.7263
107 O 0.6793 0.3138 0.3679
108 O 0.1455 0.0288 0.5530
109 O 0.2629 0.0376 0.9999
110 O 0.3183 0.4398 0.3930
111 O 0.6862 0.3655 0.7012
112 O 0.8785 0.5602 0.2737
113 O 0.4097 0.3584 0.9413
114 O 0.2253 0.9624 0.6667
115 O 0.6817 0.1215 0.9404
116 O 0.2778 0.4917 0.8453
117 O 0.1215 0.6817 0.0596
118 O 0.7371 0.7747 0.3334
119 O 0.8430 0.6385 0.4861
120 O 0.3584 0.4097 0.0587
121 O 0.8834 0.8545 0.2197
122 O 0.3655 0.6862 0.2988
123 O 0.5629 0.5505 0.2376
124 O 0.4095 0.2337 0.4671
125 O 0.5903 0.9488 0.3920
126 O 0.3138 0.6793 0.6321
127 O 0.5083 0.7861 0.1786
128 O 0.5505 0.5629 0.7624
129 O 0.6416 0.0512 0.2747
130 O 0.8545 0.8834 0.7803
131 O 0.9624 0.2253 0.3333
132 O 0.3615 0.2045 0.8194